A relaxed structure of Pr23Cd4Pt7, computed with PBE.

Lattice parameters (Å, degrees): 10.1755 10.1755 23.0233 90.00 90.00 120.00
Fractional coordinates of all 68 atoms:
Pt 0.4773 0.9546 0.2108
Pt 0.2855 0.1427 0.0646
Pt 0.5227 0.4773 0.7108
Pt 0.8573 0.7145 0.0646
Pt 0.5227 0.0454 0.7108
Pt 0.1427 0.2855 0.5646
Pt 0.3333 0.6667 0.3614
Pt 0.0454 0.5227 0.2108
Pt 0.9546 0.4773 0.7108
Pt 0.8573 0.1427 0.0646
Pt 0.1427 0.8573 0.5646
Pt 0.4773 0.5227 0.2108
Pt 0.7145 0.8573 0.5646
Pt 0.6667 0.3333 0.8614
Pr 0.5434 0.4566 0.3562
Pr 0.9225 0.4612 0.0849
Pr 0.5777 0.7888 0.9895
Pr 0.0868 0.5434 0.8562
Pr 0.1990 0.8010 0.2839
Pr 0.0000 0.0000 0.9962
Pr 0.8714 0.1286 0.6363
Pr 0.1990 0.3980 0.2839
Pr 0.7888 0.2112 0.4895
Pr 0.8010 0.6020 0.7839
Pr 0.2571 0.1286 0.6363
Pr 0.4612 0.9225 0.5849
Pr 0.8714 0.7429 0.6363
Pr 0.4223 0.2112 0.4895
Pr 0.0775 0.5388 0.5849
Pr 0.2056 0.4111 0.4453
Pr 0.2053 0.7947 0.7209
Pr 0.4566 0.5434 0.8562
Pr 0.4111 0.2056 0.9453
Pr 0.7947 0.2053 0.2209
Pr 0.1286 0.2571 0.1363
Pr 0.7944 0.5889 0.9453
Pr 0.4105 0.2053 0.2209
Pr 0.5388 0.0775 0.0849
Pr 0.5889 0.7944 0.4453
Pr 0.6667 0.3333 0.6428
Pr 0.7944 0.2056 0.9453
Pr 0.1286 0.8714 0.1363
Pr 0.7888 0.5777 0.4895
Pr 0.8010 0.1990 0.7839
Pr 0.0000 0.0000 0.4962
Pr 0.4566 0.9132 0.8562
Pr 0.4612 0.5388 0.5849
Pr 0.6020 0.8010 0.2839
Pr 0.5434 0.0868 0.3562
Pr 0.9132 0.4566 0.3562
Pr 0.5388 0.4612 0.0849
Pr 0.5895 0.7947 0.7209
Pr 0.7429 0.8714 0.1363
Pr 0.7947 0.5895 0.2209
Pr 0.2056 0.7944 0.4453
Pr 0.3980 0.1990 0.7839
Pr 0.2112 0.7888 0.9895
Pr 0.2053 0.4105 0.7209
Pr 0.2112 0.4223 0.9895
Pr 0.3333 0.6667 0.1428
Cd 0.7855 0.8928 0.8632
Cd 0.8928 0.7855 0.3632
Cd 0.0000 0.0000 0.2490
Cd 0.2145 0.1072 0.3632
Cd 0.0000 0.0000 0.7490
Cd 0.8928 0.1072 0.3632
Cd 0.1072 0.8928 0.8632
Cd 0.1072 0.2145 0.8632

DFT formation energy = -0.582 eV per atom
electronic total energy = -5.174 eV per atom
mass density = 8.1 Mg/m³

=====

A relaxed structure of Pr4CdPt, computed with PBE.

Lattice parameters (Å, degrees): 10.1008 10.1008 10.1008 60.00 60.00 60.00
Fractional coordinates of all 24 atoms:
Pr 0.3487 0.3487 0.9539
Pr 0.8078 0.1922 0.8078
Pr 0.1922 0.8078 0.8078
Pr 0.8078 0.8078 0.1922
Pr 0.3487 0.3487 0.3487
Pr 0.1922 0.8078 0.1922
Pr 0.9346 0.5654 0.5654
Pr 0.5654 0.9346 0.9346
Pr 0.5654 0.9346 0.5654
Pr 0.9539 0.3487 0.3487
Pr 0.9346 0.9346 0.5654
Pr 0.5654 0.5654 0.9346
Pr 0.1922 0.1922 0.8078
Pr 0.3487 0.9539 0.3487
Pr 0.8078 0.1922 0.1922
Pr 0.9346 0.5654 0.9346
Cd 0.5800 0.2601 0.5800
Cd 0.5800 0.5800 0.5800
Cd 0.5800 0.5800 0.2601
Cd 0.2601 0.5800 0.5800
Pt 0.5733 0.1422 0.1422
Pt 0.1422 0.1422 0.1422
Pt 0.1422 0.1422 0.5733
Pt 0.1422 0.5733 0.1422

DFT formation energy = -0.521 eV per atom
electronic total energy = -4.874 eV per atom
mass density = 7.9 Mg/m³